The following is a PBE-GGA calculation of a relaxed BaCuSi2O6 crystal, from Materials Project.

As for the volume: 14.4 Å³/atom. The value obtained for the calculated total energy is -7.08 eV/atom. For the magnetic moment, the calculation gives 0.000 μB/atom. For the energy above the most stable polymorph in this dataset, the calculation gives 0.031 eV/atom. The value obtained for the MP2020-corrected energy is -74.9 eV/f.u. The formation energy is -2.835 eV/atom. The space group is P4_2/nmc, No. 137.

```
BaCuSi2O6
1.0
7.180 0.000 0.000
0.000 7.180 0.000
0.000 0.000 11.150
O Si Ba Cu
24 8 4 4
direct
0.306 0.309 0.875
0.000 0.735 0.003
0.809 0.194 0.375
0.194 0.809 0.625
0.309 0.694 0.125
0.694 0.309 0.875
0.806 0.191 0.625
0.694 0.691 0.875
0.809 0.806 0.375
0.235 0.500 0.503
0.000 0.265 0.003
0.691 0.306 0.125
0.735 0.000 0.997
0.194 0.191 0.625
0.500 0.235 0.497
0.306 0.691 0.875
0.691 0.694 0.125
0.765 0.500 0.503
0.191 0.194 0.375
0.500 0.765 0.497
0.309 0.306 0.125
0.191 0.806 0.375
0.265 0.000 0.997
0.806 0.809 0.625
0.274 0.726 0.500
0.274 0.274 0.500
0.774 0.226 0.000
0.774 0.774 0.000
0.726 0.726 0.500
0.226 0.774 0.000
0.726 0.274 0.500
0.226 0.226 0.000
0.000 0.500 0.244
0.500 0.000 0.756
0.000 0.500 0.744
0.500 0.000 0.256
0.500 0.500 0.122
0.500 0.500 0.878
0.000 0.000 0.378
0.000 0.000 0.622
```